(1)
Entry from the Materials Project: a geometry-optimized Dy2Ge2Ru structure (meta-GGA r2SCAN).

```
Dy2Ge2Ru
1.0
5.367 -2.136 0.000
5.367 2.136 0.000
-4.817 0.000 8.927
Dy Ge Ru
4 4 2
Direct
0.000 0.000 0.172
0.000 0.000 0.828
0.184 0.184 0.612
0.816 0.816 0.388
0.354 0.354 0.936
0.488 0.488 0.624
0.512 0.512 0.376
0.646 0.646 0.064
0.271 0.271 0.128
0.729 0.729 0.872
```

Output
Total magnetization = 0.00 μB/f.u.

(2)
Entry from the Materials Project: a geometry-optimized Be2TlF5 structure (meta-GGA r2SCAN).

```
Be2TlF5
1.0
-1.097 -1.606 4.196
-0.393 -7.473 -2.962
11.823 -1.899 2.365
F Be Tl
20 8 4
Direct
0.653 0.311 0.738
0.588 0.000 0.750
0.347 0.311 0.238
0.088 0.500 0.750
0.010 0.671 0.920
0.010 0.329 0.580
0.990 0.671 0.420
0.490 0.171 0.420
0.990 0.329 0.080
0.847 0.189 0.262
0.153 0.189 0.762
0.912 0.500 0.250
0.847 0.811 0.238
0.490 0.829 0.080
0.153 0.811 0.738
0.510 0.171 0.920
0.412 0.000 0.250
0.347 0.689 0.262
0.653 0.689 0.762
0.510 0.829 0.580
0.978 0.667 0.797
0.522 0.833 0.203
0.022 0.333 0.203
0.478 0.167 0.797
0.022 0.667 0.297
0.978 0.333 0.703
0.478 0.833 0.703
0.522 0.167 0.297
0.500 0.500 0.500
0.000 0.000 0.000
0.000 0.000 0.500
0.500 0.500 0.000
```

Output
Total magnetization = 0.00 μB/f.u.

(3)
Entry from the Materials Project: a geometry-optimized Lu2CuIr structure (meta-GGA r2SCAN).

```
Lu2CuIr
1.0
0.000 3.341 3.341
3.341 0.000 3.341
3.341 3.341 0.000
Lu Cu Ir
2 1 1
Direct
0.250 0.250 0.250
0.750 0.750 0.750
0.000 0.000 0.000
0.500 0.500 0.500
```

Output
Total magnetization = 0.00 μB/f.u.

(4)
Entry from the Materials Project: a geometry-optimized CoSO4 structure (meta-GGA r2SCAN).

```
CoSO4
1.0
8.585 0.000 0.000
0.000 6.649 0.000
0.000 0.000 4.731
Co S O
4 4 16
Direct
0.000 0.000 0.000
0.000 0.500 0.000
0.500 0.000 0.500
0.500 0.500 0.500
0.179 0.250 0.476
0.321 0.750 0.976
0.679 0.250 0.024
0.821 0.750 0.524
0.125 0.066 0.338
0.125 0.250 0.774
0.125 0.434 0.338
0.147 0.750 0.959
0.353 0.250 0.459
0.375 0.566 0.838
0.375 0.750 0.274
0.375 0.934 0.838
0.625 0.066 0.162
0.625 0.250 0.726
0.625 0.434 0.162
0.647 0.750 0.541
0.853 0.250 0.041
0.875 0.566 0.662
0.875 0.750 0.226
0.875 0.934 0.662
```

Output
Total magnetization = 3.00 μB/f.u.

(5)
Entry from the Materials Project: a geometry-optimized UZn20Ir2 structure (meta-GGA r2SCAN).

```
UZn20Ir2
1.0
0.000 7.057 7.057
7.057 0.000 7.057
7.057 7.057 0.000
U Zn Ir
2 40 4
Direct
0.125 0.125 0.125
0.875 0.875 0.875
0.000 0.000 0.000
0.000 0.000 0.500
0.000 0.500 0.000
0.057 0.323 0.323
0.057 0.323 0.797
0.057 0.797 0.323
0.203 0.677 0.677
0.203 0.677 0.943
0.203 0.943 0.677
0.236 0.236 0.514
0.236 0.514 0.236
0.236 0.514 0.514
0.323 0.057 0.323
0.323 0.057 0.797
0.323 0.323 0.057
0.323 0.323 0.797
0.323 0.797 0.057
0.323 0.797 0.323
0.486 0.486 0.764
0.486 0.764 0.486
0.486 0.764 0.764
0.500 0.000 0.000
0.514 0.236 0.236
0.514 0.236 0.514
0.514 0.514 0.236
0.677 0.203 0.677
0.677 0.203 0.943
0.677 0.677 0.203
0.677 0.677 0.943
0.677 0.943 0.203
0.677 0.943 0.677
0.764 0.486 0.486
0.764 0.486 0.764
0.764 0.764 0.486
0.797 0.057 0.323
0.797 0.323 0.057
0.797 0.323 0.323
0.943 0.203 0.677
0.943 0.677 0.203
0.943 0.677 0.677
0.000 0.500 0.500
0.500 0.000 0.500
0.500 0.500 0.000
0.500 0.500 0.500
```

Output
Total magnetization = 2.44 μB/f.u.

(6)
Entry from the Materials Project: a geometry-optimized FeNi3 structure (meta-GGA r2SCAN).

```
FeNi3
1.0
4.033 0.000 0.000
0.000 4.969 0.000
0.000 0.000 4.313
Fe Ni
2 6
Direct
0.250 0.250 0.167
0.750 0.750 0.833
0.250 0.003 0.668
0.250 0.497 0.668
0.250 0.750 0.172
0.750 0.250 0.828
0.750 0.503 0.332
0.750 0.997 0.332
```

Output
Total magnetization = 5.08 μB/f.u.

(7)
Entry from the Materials Project: a geometry-optimized DyH3 structure (meta-GGA r2SCAN).

```
DyH3
1.0
6.311 0.000 0.000
-3.155 5.465 0.000
0.000 0.000 6.582
Dy H
6 18
Direct
0.000 0.337 0.250
0.000 0.663 0.750
0.337 0.000 0.250
0.337 0.337 0.750
0.663 0.000 0.750
0.663 0.663 0.250
0.000 0.000 0.250
0.000 0.000 0.750
0.031 0.352 0.909
0.031 0.680 0.409
0.320 0.352 0.409
0.320 0.969 0.909
0.333 0.667 0.187
0.333 0.667 0.687
0.352 0.031 0.591
0.352 0.320 0.091
0.648 0.680 0.909
0.648 0.969 0.409
0.667 0.333 0.313
0.667 0.333 0.813
0.680 0.031 0.091
0.680 0.648 0.591
0.969 0.320 0.591
0.969 0.648 0.091
```

Output
Total magnetization = 0.00 μB/f.u.

(8)
Entry from the Materials Project: a geometry-optimized NdRu2 structure (meta-GGA r2SCAN).

```
NdRu2
1.0
5.294 0.000 0.000
-2.647 4.584 0.000
0.000 0.000 9.131
Nd Ru
4 8
Direct
0.333 0.667 0.068
0.333 0.667 0.432
0.667 0.333 0.568
0.667 0.333 0.932
0.000 0.000 0.000
0.000 0.000 0.500
0.169 0.338 0.750
0.169 0.831 0.750
0.338 0.169 0.250
0.662 0.831 0.750
0.831 0.169 0.250
0.831 0.662 0.250
```

Output
Total magnetization = 0.00 μB/f.u.

Ordered DFT total energy results: -121.56; -102.38; -142.46; -53.75; -367.27; -50.72; -45.24; -80.77; unit eV per formula unit.